1.
# Li2AgPd, optimized geometry, DFT GGA-PBE
# SG = No. 225
# Final energy = -13.19 eV for the cell shown
# ΔE_f = -340.1 meV/atom
data_Li2AgPd
_space_group_name_H-M_alt 'P 1'
_space_group_IT_number 1
_space_group_name_Hall 'P 1'
_cell_length_a 4.3563
_cell_length_b 4.3563
_cell_length_c 4.3563
_cell_angle_alpha 60.00
_cell_angle_beta 60.00
_cell_angle_gamma 60.00
loop_
_atom_site_label
_atom_site_type_symbol
_atom_site_fract_x
_atom_site_fract_y
_atom_site_fract_z
Li1 Li 0.2500 0.2500 0.2500
Li2 Li 0.7500 0.7500 0.7500
Ag1 Ag 0.0000 0.0000 0.0000
Pd1 Pd 0.5000 0.5000 0.5000

2.
# V2ReMo, optimized geometry, DFT GGA-PBE
# SG = No. 225
# Final energy = -42.56 eV for the cell shown
# ΔE_f = -275.9 meV/atom
data_V2ReMo
_space_group_name_H-M_alt 'P 1'
_space_group_IT_number 1
_space_group_name_Hall 'P 1'
_cell_length_a 4.3228
_cell_length_b 4.3228
_cell_length_c 4.3228
_cell_angle_alpha 60.00
_cell_angle_beta 60.00
_cell_angle_gamma 60.00
loop_
_atom_site_label
_atom_site_type_symbol
_atom_site_fract_x
_atom_site_fract_y
_atom_site_fract_z
V1 V 0.2500 0.2500 0.2500
V2 V 0.7500 0.7500 0.7500
Re1 Re 0.0000 0.0000 0.0000
Mo1 Mo 0.5000 0.5000 0.5000

3.
# PtN2Cl4, optimized geometry, DFT GGA-PBE
# SG = No. 15
# Final energy = -51.68 eV for the cell shown
# Spin magnetization = 0.286 μB/atom
# Energy above the most stable polymorph in this dataset = 0.00 eV/f.u.
# ΔE_f = 263.4 meV/atom
data_PtN2Cl4
_space_group_name_H-M_alt 'P 1'
_space_group_IT_number 1
_space_group_name_Hall 'P 1'
_cell_length_a 5.5450
_cell_length_b 5.5450
_cell_length_c 13.3122
_cell_angle_alpha 97.64
_cell_angle_beta 97.64
_cell_angle_gamma 99.23
loop_
_atom_site_label
_atom_site_type_symbol
_atom_site_fract_x
_atom_site_fract_y
_atom_site_fract_z
Pt1 Pt 0.2053 0.7947 0.7500
Pt2 Pt 0.7947 0.2053 0.2500
N1 N 0.0975 0.4867 0.6529
N2 N 0.4867 0.0975 0.1529
N3 N 0.5133 0.9025 0.8471
N4 N 0.9025 0.5133 0.3471
Cl1 Cl 0.0192 0.6124 0.8765
Cl2 Cl 0.1718 0.4280 0.3892
Cl3 Cl 0.3876 0.9808 0.6235
Cl4 Cl 0.4280 0.1718 0.8892
Cl5 Cl 0.5720 0.8282 0.1108
Cl6 Cl 0.6124 0.0192 0.3765
Cl7 Cl 0.8282 0.5720 0.6108
Cl8 Cl 0.9808 0.3876 0.1235